1.
A plane-wave DFT calculation with PBE with a Hubbard U was carried out for a geometry-optimized LuTlMo2O8 structure.

abc: 15.156 6.097 9.051
angles: 90.00 90.00 90.00
Space group Pnma (No. 62)
Inequivalent atoms, fractional coordinates:
Lu: 0.106 0.250 0.195 x4
Tl: 0.125 0.750 0.556 x4
Mo: 0.039 0.250 0.783 x4
Mo: 0.216 0.750 0.997 x4
O: 0.019 0.509 0.289 x8
O: 0.037 0.250 0.981 x4
O: 0.140 0.750 0.853 x4
O: 0.148 0.250 0.719 x4
O: 0.176 0.250 0.408 x4
O: 0.195 0.502 0.103 x8

Energy relative to the elements   -2.392 eV per atom
DFT total energy   -339.84 eV per cell



2.
A plane-wave DFT calculation with PBE with a Hubbard U was carried out for a geometry-optimized Na2LuPWO8 structure.

abc: 6.828 12.109 18.262
angles: 90.00 90.00 90.00
Space group Ibca (No. 73)
Inequivalent atoms, fractional coordinates:
Na: 0.010 0.063 0.153 x16
Lu: 0.250 0.177 0.500 x8
P: 0.250 0.070 0.000 x8
W: 0.000 0.250 0.325 x8
O: 0.045 0.129 0.769 x16
O: 0.073 0.151 0.008 x16
O: 0.216 0.224 0.382 x16
O: 0.236 0.007 0.568 x16

Energy relative to the elements   -2.814 eV per atom
DFT total energy   -734.13 eV per cell



3.
A plane-wave DFT calculation with PBE with a Hubbard U was carried out for a geometry-optimized LuNiO3 structure.

abc: 5.629 7.318 5.101
angles: 90.00 90.00 90.00
Space group Pnma (No. 62)
Inequivalent atoms, fractional coordinates:
Lu: 0.087 0.250 0.027 x4
Ni: 0.000 0.000 0.500 x4
O: 0.039 0.750 0.379 x4
O: 0.185 0.558 0.806 x8

Energy relative to the elements   -2.536 eV per atom
DFT total energy   -132.88 eV per cell